Na2La4Ga4SiS11O48: optimized geometry, PBE.

Lattice parameters (Å, degrees): 17.893 8.990 23.683 90.04 90.20 120.22
Atoms (fractional coordinates):
Na 0.001 0.977 0.485
Na 0.501 0.028 0.008
Na 0.343 0.333 0.834
Na 0.837 0.346 0.834
Na 0.335 0.333 0.331
Na 0.842 0.353 0.320
La 0.000 0.992 0.860
La 0.498 0.007 0.864
La 0.999 0.986 0.646
La 0.499 0.000 0.637
La 0.343 0.336 0.681
La 0.841 0.363 0.680
La 0.347 0.340 0.991
La 0.842 0.348 0.466
La 0.658 0.651 0.034
La 0.157 0.669 0.503
La 0.152 0.650 0.812
La 0.669 0.667 0.822
Ga 0.007 0.998 0.337
Ga 0.500 0.006 0.347
Ga 0.999 0.006 0.153
Ga 0.496 0.996 0.168
Ga 0.314 0.310 0.174
Ga 0.855 0.365 0.181
Ga 0.837 0.336 0.997
Ga 0.338 0.338 0.474
Ga 0.161 0.659 0.025
Ga 0.664 0.671 0.504
Ga 0.175 0.661 0.320
Ga 0.650 0.656 0.315
Si 0.991 0.686 0.749
Si 0.509 0.366 0.921
Si 0.020 0.682 0.396
S 0.148 0.013 0.242
S 0.641 0.995 0.258
S 0.351 0.710 0.259
S 0.857 0.711 0.243
S 0.001 0.285 0.253
S 0.500 0.290 0.250
S 0.162 0.304 0.751
S 0.649 0.300 0.750
S 0.502 0.701 0.753
S 0.348 0.002 0.750
S 0.847 0.008 0.751
S 0.487 0.354 0.563
S 0.990 0.329 0.578
S 0.191 0.057 0.566
S 0.689 0.012 0.573
S 0.334 0.617 0.568
S 0.817 0.639 0.570
S 0.471 0.643 0.105
S 0.982 0.638 0.087
S 0.335 0.021 0.095
S 0.850 0.074 0.095
S 0.175 0.328 0.090
S 0.691 0.300 0.095
S 0.306 0.666 0.932
S 0.815 0.634 0.929
S 0.012 0.375 0.935
S 0.165 0.946 0.932
S 0.684 0.994 0.930
S 0.326 0.982 0.406
S 0.804 0.927 0.405
S 0.172 0.359 0.406
S 0.653 0.376 0.404
S 0.518 0.671 0.410
O 0.114 0.061 0.292
O 0.601 0.033 0.308
O 0.410 0.791 0.308
O 0.917 0.788 0.292
O 0.483 0.173 0.298
O 0.978 0.165 0.303
O 0.111 0.227 0.804
O 0.598 0.202 0.800
O 0.504 0.793 0.805
O 0.997 0.806 0.803
O 0.398 0.998 0.799
O 0.894 0.016 0.805
O 0.397 0.033 0.696
O 0.901 0.022 0.702
O 0.115 0.201 0.701
O 0.606 0.208 0.697
O 0.975 0.751 0.687
O 0.488 0.782 0.702
O 0.387 0.824 0.208
O 0.896 0.821 0.192
O 0.012 0.204 0.202
O 0.521 0.217 0.198
O 0.091 0.981 0.192
O 0.584 0.961 0.207
O 0.454 0.385 0.616
O 0.946 0.316 0.631
O 0.231 0.150 0.619
O 0.736 0.082 0.627
O 0.329 0.526 0.621
O 0.808 0.557 0.625
O 0.418 0.510 0.149
O 0.952 0.523 0.139
O 0.315 0.114 0.140
O 0.835 0.151 0.148
O 0.237 0.373 0.140
O 0.746 0.327 0.147
O 0.211 0.286 0.041
O 0.731 0.273 0.044
O 0.429 0.592 0.050
O 0.919 0.553 0.041
O 0.361 0.125 0.042
O 0.867 0.189 0.046
O 0.241 0.155 0.515
O 0.733 0.130 0.526
O 0.339 0.521 0.517
O 0.834 0.545 0.525
O 0.426 0.320 0.515
O 0.940 0.340 0.529
O 0.255 0.661 0.983
O 0.762 0.646 0.975
O 0.071 0.471 0.983
O 0.551 0.479 0.979
O 0.171 0.855 0.984
O 0.676 0.877 0.976
O 0.292 0.885 0.459
O 0.763 0.824 0.457
O 0.156 0.422 0.460
O 0.641 0.458 0.454
O 0.056 0.698 0.461
O 0.576 0.704 0.460
O 0.086 0.660 0.352
O 0.551 0.622 0.359
O 0.267 0.897 0.358
O 0.750 0.840 0.354
O 0.195 0.489 0.360
O 0.668 0.483 0.351
O 0.044 0.467 0.881
O 0.562 0.451 0.863
O 0.171 0.864 0.880
O 0.691 0.929 0.874
O 0.270 0.684 0.879
O 0.773 0.612 0.873
O 0.015 0.859 0.389
O 0.512 0.826 0.400
O 0.411 0.994 0.396
O 0.891 0.949 0.400
O 0.093 0.195 0.392
O 0.573 0.205 0.397
O 0.002 0.203 0.932
O 0.500 0.178 0.931
O 0.084 0.949 0.935
O 0.608 0.018 0.931
O 0.396 0.811 0.941
O 0.902 0.787 0.930
O 0.497 0.201 0.569
O 0.000 0.176 0.568
O 0.102 0.029 0.561
O 0.600 0.987 0.578
O 0.412 0.788 0.568
O 0.891 0.819 0.570
O 0.478 0.812 0.117
O 0.989 0.805 0.100
O 0.413 0.010 0.112
O 0.928 0.057 0.102
O 0.091 0.175 0.105
O 0.604 0.146 0.102
O 0.334 0.150 0.758
O 0.831 0.153 0.752
O 0.246 0.308 0.757
O 0.735 0.312 0.754
O 0.426 0.522 0.757
O 0.907 0.494 0.757
O 0.338 0.537 0.250
O 0.852 0.535 0.234
O 0.423 0.306 0.240
O 0.924 0.313 0.245
O 0.238 0.178 0.234
O 0.728 0.142 0.251
O 0.307 0.502 0.930
O 0.822 0.475 0.938
O 0.414 0.345 0.914
O 0.927 0.363 0.945
O 0.239 0.123 0.934
O 0.765 0.162 0.938
O 0.339 0.161 0.412
O 0.809 0.096 0.409
O 0.249 0.335 0.412
O 0.728 0.352 0.408
O 0.430 0.518 0.419
O 0.925 0.508 0.392
O 0.164 0.480 0.082
O 0.683 0.454 0.089
O 0.069 0.661 0.075
O 0.557 0.660 0.105
O 0.259 0.850 0.087
O 0.773 0.904 0.087
O 0.189 0.891 0.569
O 0.681 0.842 0.562
O 0.257 0.633 0.563
O 0.734 0.631 0.558
O 0.077 0.487 0.579
O 0.571 0.509 0.552
O 0.162 0.869 0.251
O 0.643 0.832 0.267
O 0.265 0.698 0.268
O 0.771 0.684 0.254
O 0.080 0.451 0.263
O 0.578 0.465 0.259
O 0.179 0.481 0.745
O 0.660 0.473 0.749
O 0.077 0.672 0.746
O 0.582 0.697 0.747
O 0.265 0.841 0.746
O 0.765 0.843 0.748

Values from the calculation:
E (MP2020) ... -6.924 eV/atom
Formation energy from the elements ... -2.311 eV per atom
Total DFT energy (no corrections) ... -6.453 eV per atom

***

Na6La2Ga2Si3S3O24: optimized geometry, PBE.

Lattice parameters (Å, degrees): 9.337 9.166 23.152 91.28 90.08 119.45
Atoms (fractional coordinates):
Na 0.636 0.992 0.272
Na 0.356 0.364 0.258
Na 0.641 0.641 0.729
Na 0.976 0.358 0.736
Na 0.031 0.691 0.595
Na 0.676 0.964 0.583
Na 0.316 0.974 0.102
Na 0.022 0.326 0.088
Na 0.971 0.648 0.894
Na 0.707 0.044 0.906
Na 0.951 0.294 0.422
Na 0.349 0.032 0.415
Na 0.974 0.988 0.507
Na 0.986 0.018 0.000
Na 0.667 0.322 0.815
Na 0.679 0.352 0.342
Na 0.324 0.672 0.180
Na 0.332 0.661 0.662
La 0.003 0.022 0.835
La 0.994 0.006 0.168
La 0.675 0.336 0.988
La 0.344 0.660 0.020
La 0.353 0.655 0.517
La 0.317 0.670 0.805
Ga 0.996 0.020 0.343
Ga 0.958 0.971 0.646
Ga 0.691 0.348 0.680
Ga 0.661 0.287 0.202
Ga 0.677 0.304 0.499
Ga 0.319 0.696 0.318
Si 0.299 0.002 0.253
Si 0.014 0.328 0.253
Si 0.987 0.697 0.741
Si 0.691 0.011 0.742
Si 0.962 0.317 0.587
Si 0.678 0.610 0.584
Si 0.665 0.033 0.089
Si 0.025 0.358 0.920
Si 0.642 0.969 0.415
S 0.688 0.688 0.255
S 0.312 0.294 0.740
S 0.380 0.054 0.582
S 0.970 0.639 0.089
S 0.366 0.331 0.094
S 0.649 0.674 0.911
S 0.323 0.973 0.922
S 0.321 0.346 0.407
S 0.038 0.678 0.414
O 0.184 0.029 0.301
O 0.806 0.784 0.303
O 0.966 0.174 0.299
O 0.258 0.227 0.799
O 0.985 0.774 0.806
O 0.786 0.052 0.805
O 0.804 0.985 0.693
O 0.191 0.189 0.696
O 0.004 0.826 0.690
O 0.743 0.778 0.200
O 0.063 0.277 0.191
O 0.217 0.976 0.189
O 0.870 0.352 0.640
O 0.489 0.149 0.630
O 0.656 0.508 0.643
O 0.861 0.534 0.134
O 0.651 0.151 0.143
O 0.463 0.334 0.144
O 0.450 0.341 0.038
O 0.899 0.577 0.030
O 0.673 0.117 0.026
O 0.455 0.136 0.525
O 0.692 0.503 0.527
O 0.847 0.274 0.526
O 0.564 0.681 0.964
O 0.113 0.444 0.982
O 0.324 0.892 0.977
O 0.580 0.869 0.474
O 0.288 0.420 0.459
O 0.136 0.707 0.468
O 0.128 0.645 0.365
O 0.502 0.870 0.362
O 0.341 0.449 0.356
O 0.128 0.474 0.865
O 0.344 0.879 0.872
O 0.558 0.675 0.859
O 0.028 0.831 0.404
O 0.830 0.003 0.398
O 0.167 0.175 0.403
O 0.994 0.166 0.918
O 0.164 0.971 0.918
O 0.815 0.825 0.914
O 0.973 0.142 0.593
O 0.213 0.032 0.583
O 0.851 0.799 0.585
O 0.007 0.816 0.091
O 0.838 0.029 0.093
O 0.204 0.172 0.089
O 0.674 0.178 0.731
O 0.478 0.317 0.734
O 0.815 0.515 0.741
O 0.668 0.516 0.250
O 0.836 0.330 0.251
O 0.486 0.178 0.255
O 0.667 0.522 0.910
O 0.841 0.346 0.914
O 0.465 0.144 0.919
O 0.654 0.162 0.424
O 0.465 0.322 0.414
O 0.877 0.523 0.416
O 0.333 0.474 0.098
O 0.131 0.639 0.093
O 0.492 0.855 0.093
O 0.367 0.884 0.581
O 0.529 0.658 0.584
O 0.136 0.492 0.580
O 0.339 0.849 0.262
O 0.522 0.671 0.265
O 0.181 0.506 0.270
O 0.325 0.465 0.739
O 0.138 0.654 0.735
O 0.520 0.832 0.741

Values from the calculation:
E (MP2020) ... -6.841 eV/atom
Formation energy from the elements ... -2.558 eV per atom
Total DFT energy (no corrections) ... -6.428 eV per atom

***

NaLa6Ga3S14: optimized geometry, PBE.

Lattice parameters (Å, degrees): 10.240 10.240 6.151 90.00 90.00 120.00
Atoms (fractional coordinates):
Na 0.000 0.000 0.738
La 0.624 0.766 0.499
La 0.142 0.376 0.499
La 0.234 0.858 0.499
La 0.374 0.234 0.008
La 0.860 0.626 0.008
La 0.766 0.140 0.008
Ga 0.667 0.333 0.583
Ga 0.333 0.667 0.086
Ga 0.000 0.000 0.233
S 0.902 0.419 0.733
S 0.518 0.098 0.733
S 0.581 0.482 0.733
S 0.098 0.579 0.237
S 0.481 0.902 0.237
S 0.421 0.519 0.237
S 0.857 0.092 0.448
S 0.235 0.143 0.448
S 0.908 0.765 0.448
S 0.152 0.909 0.996
S 0.758 0.848 0.996
S 0.091 0.242 0.996
S 0.333 0.667 0.718
S 0.667 0.333 0.215

Values from the calculation:
E (MP2020) ... -6.032 eV/atom
Formation energy from the elements ... -1.952 eV per atom
Total DFT energy (no corrections) ... -5.739 eV per atom

***

La6NbGa11O28: optimized geometry, PBE.

Lattice parameters (Å, degrees): 9.789 9.789 10.351 58.07 58.07 50.23
Atoms (fractional coordinates):
La 0.580 0.001 0.209
La 0.571 0.999 0.715
La 0.430 0.570 0.500
La 0.419 0.581 0.000
La 0.999 0.420 0.791
La 0.001 0.429 0.285
Nb 0.000 0.000 0.500
Ga 0.240 0.000 0.635
Ga 0.240 0.000 0.125
Ga 0.759 0.240 0.245
Ga 0.760 0.241 0.755
Ga 0.000 0.760 0.365
Ga 0.000 0.760 0.875
Ga 0.333 0.331 0.403
Ga 0.333 0.335 0.900
Ga 0.669 0.667 0.597
Ga 0.665 0.667 0.100
Ga 0.000 0.000 0.000
O 0.855 0.691 0.576
O 0.853 0.688 0.079
O 0.459 0.853 0.693
O 0.454 0.855 0.194
O 0.688 0.459 0.775
O 0.690 0.454 0.277
O 0.147 0.541 0.307
O 0.145 0.546 0.806
O 0.309 0.145 0.424
O 0.312 0.147 0.921
O 0.541 0.312 0.225
O 0.546 0.310 0.723
O 0.335 0.333 0.576
O 0.331 0.334 0.078
O 0.667 0.665 0.424
O 0.666 0.669 0.922
O 0.855 0.926 0.230
O 0.857 0.922 0.728
O 0.221 0.857 0.579
O 0.220 0.854 0.083
O 0.921 0.221 0.546
O 0.926 0.219 0.048
O 0.143 0.779 0.421
O 0.146 0.780 0.917
O 0.074 0.145 0.770
O 0.078 0.143 0.272
O 0.779 0.079 0.454
O 0.781 0.074 0.952

Values from the calculation:
E (MP2020) ... -7.503 eV/atom
Distance to the lowest polymorph of the same formula ... 0 meV/atom
Formation energy from the elements ... -2.904 eV per atom
Total DFT energy (no corrections) ... -7.085 eV per atom

***

Q: Number 2 is which compound?
A: Na6La2Ga2Si3S3O24

***

Repeat the third record exactly.
NaLa6Ga3S14: optimized geometry, PBE.

Lattice parameters (Å, degrees): 10.240 10.240 6.151 90.00 90.00 120.00
Atoms (fractional coordinates):
Na 0.000 0.000 0.738
La 0.624 0.766 0.499
La 0.142 0.376 0.499
La 0.234 0.858 0.499
La 0.374 0.234 0.008
La 0.860 0.626 0.008
La 0.766 0.140 0.008
Ga 0.667 0.333 0.583
Ga 0.333 0.667 0.086
Ga 0.000 0.000 0.233
S 0.902 0.419 0.733
S 0.518 0.098 0.733
S 0.581 0.482 0.733
S 0.098 0.579 0.237
S 0.481 0.902 0.237
S 0.421 0.519 0.237
S 0.857 0.092 0.448
S 0.235 0.143 0.448
S 0.908 0.765 0.448
S 0.152 0.909 0.996
S 0.758 0.848 0.996
S 0.091 0.242 0.996
S 0.333 0.667 0.718
S 0.667 0.333 0.215

Values from the calculation:
E (MP2020) ... -6.032 eV/atom
Formation energy from the elements ... -1.952 eV per atom
Total DFT energy (no corrections) ... -5.739 eV per atom